## PrYMg4 (PBE)

Data for an optimized crystal structure of PrYMg4.

abc: 6.1090 6.1090 6.1090
angles: 60.00 60.00 60.00
With the nearest neighbours (Å) after each atom.
Element x y z (fractional)
Pr: 0.0000 0.0000 0.0000  12 Mg 3.58, 4 Y 3.74
Y: 0.2500 0.2500 0.2500  12 Mg 3.58, 4 Pr 3.74
Mg: 0.6250 0.6250 0.1249  6 Mg 3.05
Mg: 0.6250 0.1249 0.6250  6 Mg 3.05
Mg: 0.1249 0.6250 0.6250  6 Mg 3.05
Mg: 0.6250 0.6250 0.6250  6 Mg 3.05

Summary:
Symmetry = F-43m
Crystal system = cubic

## MgPt3 (PBE)

Data for an optimized crystal structure of MgPt3.

abc: 3.9670 3.9670 3.9670
angles: 90.00 90.00 90.00
With the nearest neighbours (Å) after each atom.
Element x y z (fractional)
Mg: 0.0000 0.0000 0.0000  12 Pt 2.81
Pt: 0.0000 0.5000 0.5000  4 Mg 2.81, 8 Pt 2.81
Pt: 0.5000 0.0000 0.5000  8 Pt 2.81, 4 Mg 2.81
Pt: 0.5000 0.5000 0.0000  8 Pt 2.81, 4 Mg 2.81

Summary:
Symmetry = Pm-3m
Crystal system = cubic

## Mg3Pt (PBE)

Data for an optimized crystal structure of Mg3Pt.

abc: 4.6250 4.6250 8.3480
angles: 90.00 90.00 120.00
With the nearest neighbours (Å) after each atom.
Element x y z (fractional)
Mg: 0.6667 0.3333 0.4229  4 Pt 2.73-3.04, 7 Mg 2.89-3.04
Mg: 0.3333 0.6667 0.9229  4 Pt 2.73-3.04, 7 Mg 2.89-3.04
Mg: 0.6667 0.3333 0.0771  4 Pt 2.73-3.04, 7 Mg 2.89-3.04
Mg: 0.0000 0.0000 0.7500  3 Pt 2.67
Mg: 0.0000 0.0000 0.2500  3 Pt 2.67
Mg: 0.3333 0.6667 0.5771  4 Pt 2.73-3.04, 7 Mg 2.89-3.04
Pt: 0.6667 0.3333 0.7500  5 Mg 2.67-2.73
Pt: 0.3333 0.6667 0.2500  5 Mg 2.67-2.73

Summary:
Symmetry = P6_3/mmc
Crystal system = hexagonal

## MgPt5 (PBE)

Data for an optimized crystal structure of MgPt5.

abc: 4.8920 4.8920 4.5625
angles: 90.00 90.00 120.00
With the nearest neighbours (Å) after each atom.
Element x y z (fractional)
Mg: 0.0000 0.0000 0.0000  12 Pt 2.82
Pt: 0.6600 0.0000 0.5000  10 Pt 2.79-2.88, 2 Mg 2.82
Pt: 0.6667 0.3333 0.0000  9 Pt 2.79-2.82, 3 Mg 2.82
Pt: 0.3400 0.3400 0.5000  10 Pt 2.79-2.88, 2 Mg 2.82
Pt: 0.0000 0.6600 0.5000  10 Pt 2.79-2.88, 2 Mg 2.82
Pt: 0.3333 0.6667 0.0000  9 Pt 2.79-2.82, 3 Mg 2.82

Summary:
Symmetry = P-62m
Magnetization = 0.00 μB/cell
Crystal system = hexagonal

## MgPt5 (PBE)

Data for an optimized crystal structure of MgPt5.

abc: 5.4127 5.4127 6.7274
angles: 74.21 74.21 29.91
With the nearest neighbours (Å) after each atom.
Element x y z (fractional)
Mg: 0.6112 0.6112 0.2783  10 Pt 2.73-2.84, 2 Mg 2.79
Pt: 0.0012 0.0012 0.0000  10 Pt 2.78-2.88, 2 Mg 2.83
Pt: 0.2733 0.2733 0.9556  2 Mg 2.73, 10 Pt 2.76-2.91
Pt: 0.6660 0.6660 0.6677  11 Pt 2.78-2.86, 1 Mg 2.84
Pt: 0.9475 0.9475 0.6024  2 Mg 2.74, 10 Pt 2.79-2.91
Pt: 0.3342 0.3342 0.3293  9 Pt 2.76-2.82, 3 Mg 2.82

Summary:
Symmetry = Cm
Crystal system = monoclinic

## MgPt5 (PBE)

Data for an optimized crystal structure of MgPt5.

abc: 7.3418 7.3418 4.6702
angles: 90.00 90.00 157.93
With the nearest neighbours (Å) after each atom.
Element x y z (fractional)
Mg: 0.7843 0.2157 0.5000  10 Pt 2.70-2.95, 2 Mg 2.81
Pt: 0.9912 0.0088 0.0000  12 Pt 2.76-3.02
Pt: 0.3266 0.6734 0.0000  8 Pt 2.76-2.92, 4 Mg 2.79
Pt: 0.6591 0.3409 0.0000  10 Pt 2.77-2.81, 2 Mg 2.95
Pt: 0.4482 0.5518 0.5000  2 Mg 2.75, 10 Pt 2.79-2.92
Pt: 0.1239 0.8761 0.5000  2 Mg 2.70, 10 Pt 2.77-3.02

Summary:
Symmetry = Amm2
Crystal system = orthorhombic

## Mg3Pt (PBE)

Data for an optimized crystal structure of Mg3Pt.

abc: 7.9488 7.9488 8.4300
angles: 90.00 90.00 120.00
With the nearest neighbours (Å) after each atom.
Element x y z (fractional)
Mg: 0.0000 0.0000 0.3246  3 Pt 2.67
Mg: 0.0000 0.0000 0.8246  3 Pt 2.67
Mg: 0.3333 0.6667 0.2131  3 Pt 2.70
Mg: 0.6667 0.3333 0.7131  3 Pt 2.70
Mg: 0.3333 0.6667 0.7131  3 Pt 2.70
Mg: 0.6667 0.3333 0.2131  3 Pt 2.70
Mg: 0.2827 0.2827 0.0855  3 Pt 2.79-2.84, 7 Mg 2.99-3.07
Mg: 0.0000 0.2827 0.5855  3 Pt 2.79-2.84, 7 Mg 2.99-3.07
Mg: 0.2827 0.0000 0.5855  3 Pt 2.79-2.84, 7 Mg 2.99-3.07
Mg: 0.7173 0.0000 0.0855  3 Pt 2.79-2.84, 7 Mg 2.99-3.07
Mg: 0.0000 0.7173 0.0855  3 Pt 2.79-2.84, 7 Mg 2.99-3.07
Mg: 0.7173 0.7173 0.5855  3 Pt 2.79-2.84, 7 Mg 2.99-3.07
Mg: 0.3747 0.3747 0.4292  2 Pt 2.78-2.79, 7 Mg 2.99-3.11
Mg: 0.0000 0.3747 0.9292  2 Pt 2.78-2.79, 7 Mg 2.99-3.11
Mg: 0.3747 0.0000 0.9292  2 Pt 2.78-2.79, 7 Mg 2.99-3.11
Mg: 0.6253 0.0000 0.4292  2 Pt 2.78-2.79, 7 Mg 2.99-3.11
Mg: 0.0000 0.6253 0.4292  2 Pt 2.78-2.79, 7 Mg 2.99-3.11
Mg: 0.6253 0.6253 0.9292  2 Pt 2.78-2.79, 7 Mg 2.99-3.11
Pt: 0.3276 0.3276 0.7570  8 Mg 2.67-2.84
Pt: 0.0000 0.3276 0.2570  8 Mg 2.67-2.84
Pt: 0.3276 0.0000 0.2570  8 Mg 2.67-2.84
Pt: 0.6724 0.0000 0.7570  8 Mg 2.67-2.84
Pt: 0.0000 0.6724 0.7570  8 Mg 2.67-2.84
Pt: 0.6724 0.6724 0.2570  8 Mg 2.67-2.84

Summary:
Symmetry = P6_3cm
Crystal system = hexagonal

## Mg2SiPt (PBE)

Data for an optimized crystal structure of Mg2SiPt.

abc: 4.3128 4.3128 8.5503
angles: 90.00 90.00 120.00
With the nearest neighbours (Å) after each atom.
Element x y z (fractional)
Mg: 0.3333 0.6667 0.5842  4 Mg 2.84-2.88, 4 Pt 2.86-2.87, 3 Si 2.87
Mg: 0.6667 0.3333 0.0842  4 Mg 2.84-2.88, 4 Pt 2.86-2.87, 3 Si 2.87
Mg: 0.6667 0.3333 0.4158  4 Mg 2.84-2.88, 4 Pt 2.86-2.87, 3 Si 2.87
Mg: 0.3333 0.6667 0.9158  4 Mg 2.84-2.88, 4 Pt 2.86-2.87, 3 Si 2.87
Si: 0.0000 0.0000 0.7500  3 Pt 2.49
Si: 0.0000 0.0000 0.2500  3 Pt 2.49
Pt: 0.6667 0.3333 0.7500  3 Si 2.49
Pt: 0.3333 0.6667 0.2500  3 Si 2.49

Summary:
Symmetry = P6_3/mmc
Crystal system = hexagonal

## Mg5Si16Pt10 (PBE)

Data for an optimized crystal structure of Mg5Si16Pt10.

abc: 8.9757 8.9757 8.9757
angles: 60.00 60.00 60.00
With the nearest neighbours (Å) after each atom.
Element x y z (fractional)
Mg: 0.3442 0.3442 0.3442  6 Pt 2.81-2.96
Mg: 0.9674 0.3442 0.3442  6 Pt 2.81-2.96
Mg: 0.3442 0.9674 0.3442  6 Pt 2.81-2.96
Mg: 0.3442 0.3442 0.9674  6 Pt 2.81-2.96
Mg: 0.0000 0.0000 0.0000  4 Pt 2.79
Si: 0.6771 0.9557 0.9557  3 Si 2.38-2.50, 3 Pt 2.40-2.63
Si: 0.5726 0.5726 0.2821  3 Pt 2.41, 3 Si 2.61
Si: 0.5726 0.2821 0.5726  3 Pt 2.41, 3 Si 2.61
Si: 0.2821 0.5726 0.5726  3 Pt 2.41, 3 Si 2.61
Si: 0.5726 0.5726 0.5726  3 Pt 2.41, 3 Si 2.61
Si: 0.4116 0.9557 0.9557  3 Si 2.38-2.50, 3 Pt 2.40-2.63
Si: 0.4116 0.9557 0.6771  3 Si 2.38-2.50, 3 Pt 2.40-2.63
Si: 0.4116 0.6771 0.9557  3 Si 2.38-2.50, 3 Pt 2.40-2.63
Si: 0.9557 0.9557 0.4116  3 Si 2.38-2.50, 3 Pt 2.40-2.63
Si: 0.9557 0.4116 0.9557  3 Si 2.38-2.50, 3 Pt 2.40-2.63
Si: 0.9557 0.9557 0.6771  3 Si 2.38-2.50, 3 Pt 2.40-2.63
Si: 0.6771 0.9557 0.4116  3 Si 2.38-2.50, 3 Pt 2.40-2.63
Si: 0.9557 0.6771 0.9557  3 Si 2.38-2.50, 3 Pt 2.40-2.63
Si: 0.9557 0.4116 0.6771  3 Si 2.38-2.50, 3 Pt 2.40-2.63
Si: 0.6771 0.4116 0.9557  3 Si 2.38-2.50, 3 Pt 2.40-2.63
Si: 0.9557 0.6771 0.4116  3 Si 2.38-2.50, 3 Pt 2.40-2.63
Pt: 0.1267 0.1267 0.1267  3 Si 2.40
Pt: 0.7321 0.7321 0.2679  6 Si 2.41-2.63
Pt: 0.2679 0.2679 0.7321  6 Si 2.41-2.63
Pt: 0.7321 0.2679 0.7321  6 Si 2.41-2.63
Pt: 0.2679 0.7321 0.7321  6 Si 2.41-2.63
Pt: 0.7321 0.2679 0.2679  6 Si 2.41-2.63
Pt: 0.2679 0.7321 0.2679  6 Si 2.41-2.63
Pt: 0.1267 0.1267 0.6198  3 Si 2.40
Pt: 0.1267 0.6198 0.1267  3 Si 2.40
Pt: 0.6198 0.1267 0.1267  3 Si 2.40

Summary:
Symmetry = F-43m
Crystal system = cubic

## SmMgPt (PBE)

Data for an optimized crystal structure of SmMgPt.

abc: 7.5006 7.5006 4.1272
angles: 90.00 90.00 120.00
With the nearest neighbours (Å) after each atom.
Element x y z (fractional)
Sm: 0.5897 0.5897 0.0000  5 Pt 3.07-3.08, 6 Mg 3.32-3.38
Sm: 0.4103 0.0000 0.0000  5 Pt 3.07-3.08, 6 Mg 3.32-3.38
Sm: 0.0000 0.4103 0.0000  5 Pt 3.07-3.08, 6 Mg 3.32-3.38
Mg: 0.0000 0.7572 0.5000  4 Pt 2.75-2.90
Mg: 0.2428 0.2428 0.5000  4 Pt 2.75-2.90
Mg: 0.7572 0.0000 0.5000  4 Pt 2.75-2.90
Pt: 0.0000 0.0000 0.0000  6 Mg 2.75, 3 Sm 3.08
Pt: 0.3333 0.6667 0.5000  3 Mg 2.90, 6 Sm 3.07
Pt: 0.6667 0.3333 0.5000  3 Mg 2.90, 6 Sm 3.07

Summary:
Symmetry = P-62m
Crystal system = hexagonal

## Pu2Mg (PBE)

Data for an optimized crystal structure of Pu2Mg.

abc: 5.1676 5.1676 5.1676
angles: 60.00 60.00 60.00
With the nearest neighbours (Å) after each atom.
Element x y z (fractional)
Pu: 0.7500 0.7500 0.7500  4 Mg 3.16
Pu: 0.2500 0.2500 0.2500  4 Mg 3.16
Mg: 0.0000 0.0000 0.0000  8 Pu 3.16

Summary:
Symmetry = Fm-3m
Magnetization = 13.40 μB/cell
Crystal system = cubic

## PuMg (PBE)

Data for an optimized crystal structure of PuMg.

abc: 5.4078 3.0525 6.1389
angles: 90.00 90.00 90.00
With the nearest neighbours (Å) after each atom.
Element x y z (fractional)
Pu: 0.7500 0.5000 0.3599  4 Pu 3.05-3.20, 4 Mg 3.39
Pu: 0.2500 0.5000 0.6401  4 Pu 3.05-3.20, 4 Mg 3.39
Mg: 0.2500 0.0000 0.1397  4 Mg 3.05-3.20, 4 Pu 3.39
Mg: 0.7500 0.0000 0.8603  4 Mg 3.05-3.20, 4 Pu 3.39

Summary:
Symmetry = Pmma
Magnetization = 11.90 μB/cell
Crystal system = orthorhombic

Energy relative to the elements
In order: -94.0, -577.8, -574.4, -316.9, -327.5, -258.4, -584.4, -615.0, -599.5, -918.5, 692.3, 125.9
Unit: meV per atom